Entry 1:
Here is a geometry-optimized Zr2Si structure from the Materials Project. Energies are from r2SCAN. Values from VASP.

Quantum ESPRESSO input file:
```
&SYSTEM
  ibrav = 0, nat = 12, ntyp = 2
/
ATOMIC_SPECIES
Zr 91.22 Zr.upf
Si 28.09 Si.upf
CELL_PARAMETERS angstrom
6.619 0.000 0.000
0.000 6.619 0.000
0.000 0.000 5.315
ATOMIC_POSITIONS angstrom
Zr 1.046 2.264 0.000
Zr 1.046 4.356 2.657
Zr 2.264 1.046 2.657
Zr 2.264 5.574 0.000
Zr 4.356 1.046 0.000
Zr 4.356 5.574 2.657
Zr 5.574 2.264 2.657
Zr 5.574 4.356 0.000
Si 0.000 0.000 1.329
Si 0.000 0.000 3.986
Si 3.310 3.310 1.329
Si 3.310 3.310 3.986
```

Properties
uncorrected energy = -56.8 eV/f.u.
calculated density = 6005 kg/m3
DFT formation energy = -0.833 eV/atom



Entry 2:
Here is a geometry-optimized Na4LuC3O9F structure from the Materials Project. Energies are from r2SCAN. Values from VASP.

Quantum ESPRESSO input file:
```
&SYSTEM
  ibrav = 0, nat = 72, ntyp = 5
/
ATOMIC_SPECIES
Na 22.99 Na.upf
Lu 174.97 Lu.upf
C 12.01 C.upf
O 16.00 O.upf
F 19.00 F.upf
CELL_PARAMETERS angstrom
3.962 -7.903 0.000
3.962 7.903 0.000
-2.641 0.000 13.404
ATOMIC_POSITIONS angstrom
Na 3.962 7.899 0.000
Na 2.641 -7.899 6.702
Na -0.503 2.798 12.002
Na 0.969 2.876 5.583
Na 0.236 2.579 8.805
Na 0.817 -2.798 5.300
Na 1.557 -2.579 2.103
Na -0.352 -2.876 12.286
Na 4.093 1.929 4.543
Na 2.689 1.710 11.189
Na 4.776 1.769 1.113
Na 3.416 1.564 7.789
Na 4.736 -1.564 1.087
Na 4.010 -1.710 4.487
Na 3.456 -1.769 7.815
Na 2.773 -1.929 11.245
Lu 1.903 7.585 10.111
Lu 1.604 3.265 1.940
Lu 0.283 -3.265 8.642
Lu 3.223 -7.585 3.409
C 2.667 5.053 3.558
C 2.108 4.864 6.998
C 3.411 4.730 0.402
C 1.519 4.823 10.242
C 2.316 0.202 2.364
C 1.741 0.065 5.643
C 0.996 -0.202 9.066
C 0.421 -0.065 12.345
C 2.090 -4.730 7.105
C 1.346 -5.053 10.260
C 3.428 -4.864 0.296
C 2.840 -4.823 3.540
O 3.535 5.990 3.628
O 0.518 0.198 5.193
O -0.270 0.008 8.865
O 1.623 5.562 13.387
O 1.050 -0.008 2.163
O 1.312 3.660 10.669
O -0.802 -0.198 11.895
O 3.156 5.656 7.004
O 2.874 3.883 4.046
O 2.206 3.800 7.749
O 3.717 3.839 1.315
O 2.748 5.341 10.157
O 2.751 1.428 2.417
O 0.892 1.100 12.604
O 2.439 1.126 5.825
O 1.790 0.780 9.198
O 2.212 -1.100 5.902
O 1.431 -1.428 9.119
O 3.111 -0.780 2.496
O 1.119 -1.126 12.527
O 4.808 3.199 6.711
O 4.195 2.658 9.608
O 3.714 2.777 13.023
O 2.632 -3.660 3.967
O 5.878 2.252 3.192
O 1.554 -3.883 10.748
O 3.526 -3.800 1.047
O 2.397 -3.839 8.017
O 2.943 -5.562 6.685
O 2.215 -5.990 10.330
O 4.477 -5.656 0.301
O 5.515 -2.658 2.906
O 4.069 -5.341 3.455
O 4.557 -2.252 9.894
O 5.034 -2.777 6.321
O 6.129 -3.199 0.009
F 5.540 0.004 4.686
F 4.219 -0.004 11.389
F 6.248 0.030 1.534
F 4.927 -0.030 8.237
```

Properties
uncorrected energy = -179.5 eV/f.u.
calculated density = 3687 kg/m3
DFT formation energy = -2.247 eV/atom



The lowest uncorrected energy belongs to which entry? Na4LuC3O9F